1.
Here is an optimized crystal structure of K5NaNi5P8O28 from the Materials Project database. Energies are from PBE+U.

Cell lengths 7.284, 9.422, 10.219 Å; angles 70.47, 89.48, 75.81 degrees
Positions (direct):
K (0.000, 0.000, 0.000)
K (0.001, 0.096, 0.360)
K (0.051, 0.348, 0.609)
K (0.499, 0.541, 0.688)
K (0.947, 0.734, 0.769)
Na (0.435, 0.173, 0.859)
Ni (0.000, 0.545, 0.186)
Ni (0.361, 0.586, 0.056)
Ni (0.497, 0.051, 0.183)
Ni (0.579, 0.924, 0.502)
Ni (0.638, 0.504, 0.307)
P (0.148, 0.362, 0.967)
P (0.250, 0.735, 0.310)
P (0.352, 0.888, 0.782)
P (0.362, 0.286, 0.357)
P (0.639, 0.805, 0.019)
P (0.663, 0.201, 0.577)
P (0.750, 0.356, 0.061)
P (0.850, 0.733, 0.406)
O (0.070, 0.737, 0.417)
O (0.149, 0.348, 0.349)
O (0.151, 0.486, 0.035)
O (0.175, 0.688, 0.193)
O (0.199, 0.413, 0.817)
O (0.253, 0.053, 0.774)
O (0.254, 0.767, 0.873)
O (0.261, 0.198, 0.055)
O (0.270, 0.901, 0.260)
O (0.390, 0.868, 0.639)
O (0.418, 0.613, 0.404)
O (0.420, 0.118, 0.350)
O (0.436, 0.262, 0.514)
O (0.459, 0.396, 0.251)
O (0.538, 0.691, 0.117)
O (0.568, 0.839, 0.858)
O (0.579, 0.474, 0.967)
O (0.589, 0.964, 0.037)
O (0.663, 0.218, 0.719)
O (0.728, 0.900, 0.328)
O (0.730, 0.189, 0.114)
O (0.733, 0.032, 0.578)
O (0.763, 0.310, 0.473)
O (0.787, 0.691, 0.556)
O (0.822, 0.405, 0.178)
O (0.841, 0.612, 0.338)
O (0.852, 0.738, 0.024)
O (0.925, 0.357, 0.955)

Results
ρ ... 3.14 g/cm³
SG ... P1, No. 1

2.
Here is an optimized crystal structure of Sr2Al4Fe3P4H4O26 from the Materials Project database. Energies are from PBE+U.

Cell lengths 5.374, 9.267, 9.879 Å; angles 110.01, 91.24, 97.92 degrees
Positions (direct):
Sr (0.124, 0.264, 0.411)
Sr (0.876, 0.736, 0.589)
Al (0.488, 0.928, 0.841)
Al (0.500, 0.000, 0.500)
Al (0.500, 0.500, 0.000)
Al (0.512, 0.072, 0.159)
Fe (0.000, 0.000, 0.000)
Fe (0.240, 0.632, 0.282)
Fe (0.760, 0.368, 0.718)
P (0.223, 0.178, 0.762)
P (0.306, 0.572, 0.730)
P (0.694, 0.428, 0.270)
P (0.777, 0.822, 0.238)
H (0.052, 0.408, 0.039)
H (0.239, 0.933, 0.277)
H (0.761, 0.067, 0.723)
H (0.948, 0.592, 0.961)
O (0.019, 0.752, 0.198)
O (0.047, 0.483, 0.647)
O (0.213, 0.039, 0.821)
O (0.216, 0.460, 0.090)
O (0.222, 0.159, 0.136)
O (0.242, 0.116, 0.597)
O (0.282, 0.809, 0.455)
O (0.305, 0.910, 0.006)
O (0.310, 0.581, 0.887)
O (0.319, 0.737, 0.718)
O (0.370, 0.025, 0.321)
O (0.461, 0.301, 0.834)
O (0.484, 0.512, 0.354)
O (0.516, 0.488, 0.646)
O (0.539, 0.699, 0.166)
O (0.630, 0.975, 0.679)
O (0.681, 0.263, 0.282)
O (0.690, 0.419, 0.113)
O (0.695, 0.090, 0.994)
O (0.718, 0.191, 0.545)
O (0.758, 0.884, 0.403)
O (0.778, 0.841, 0.864)
O (0.784, 0.540, 0.910)
O (0.787, 0.961, 0.179)
O (0.953, 0.517, 0.353)
O (0.981, 0.248, 0.802)

Results
ρ ... 3.62 g/cm³
SG ... P-1, No. 2

3.
Here is an optimized crystal structure of FeC2O6 from the Materials Project database. Energies are from PBE+U.

Cell lengths 6.714, 6.714, 18.733 Å; angles 90.00, 90.00, 122.40 degrees
Positions (direct):
Fe (0.000, 0.000, 0.250)
Fe (0.000, 0.000, 0.750)
Fe (0.000, 0.500, 0.000)
Fe (0.500, 0.000, 0.500)
C (0.000, 0.500, 0.406)
C (0.000, 0.500, 0.594)
C (0.500, 0.000, 0.094)
C (0.500, 0.000, 0.906)
C (0.500, 0.500, 0.156)
C (0.500, 0.500, 0.344)
C (0.500, 0.500, 0.656)
C (0.500, 0.500, 0.844)
O (0.146, 0.854, 0.250)
O (0.146, 0.854, 0.750)
O (0.152, 0.361, 0.000)
O (0.184, 0.680, 0.407)
O (0.184, 0.680, 0.593)
O (0.315, 0.321, 0.343)
O (0.315, 0.321, 0.657)
O (0.320, 0.816, 0.093)
O (0.320, 0.816, 0.907)
O (0.321, 0.315, 0.157)
O (0.321, 0.315, 0.843)
O (0.361, 0.152, 0.500)
O (0.639, 0.848, 0.500)
O (0.679, 0.685, 0.157)
O (0.679, 0.685, 0.843)
O (0.680, 0.184, 0.093)
O (0.680, 0.184, 0.907)
O (0.685, 0.679, 0.343)
O (0.685, 0.679, 0.657)
O (0.816, 0.320, 0.407)
O (0.816, 0.320, 0.593)
O (0.848, 0.639, 0.000)
O (0.854, 0.146, 0.250)
O (0.854, 0.146, 0.750)

Results
ρ ... 1.64 g/cm³
Energy relative to the lowest polymorph listed for this composition ... 479 meV/atom
SG ... Cccm, No. 66

4.
Here is an optimized crystal structure of MgMn2Fe2P4O16 from the Materials Project database. Energies are from PBE+U.

Cell lengths 5.068, 5.987, 10.222 Å; angles 90.00, 90.03, 90.00 degrees
Positions (direct):
Mg (0.000, 0.000, 0.000)
Mn (0.182, 0.500, 0.754)
Mn (0.583, 0.000, 0.818)
Fe (0.014, 0.000, 0.340)
Fe (0.538, 0.500, 0.287)
P (0.138, 0.000, 0.646)
P (0.480, 0.000, 0.160)
P (0.698, 0.500, 0.963)
P (0.981, 0.500, 0.455)
O (0.229, 0.000, 0.506)
O (0.277, 0.500, 0.428)
O (0.281, 0.195, 0.726)
O (0.281, 0.805, 0.726)
O (0.357, 0.205, 0.230)
O (0.357, 0.795, 0.230)
O (0.386, 0.000, 0.014)
O (0.413, 0.500, 0.911)
O (0.709, 0.500, 0.113)
O (0.786, 0.000, 0.161)
O (0.829, 0.302, 0.388)
O (0.829, 0.698, 0.388)
O (0.845, 0.000, 0.669)
O (0.847, 0.286, 0.910)
O (0.847, 0.714, 0.910)
O (0.940, 0.500, 0.606)

Results
ρ ... 3.35 g/cm³
Energy relative to the lowest polymorph listed for this composition ... 16 meV/atom
SG ... Pm, No. 6

5.
Here is an optimized crystal structure of Fe2P3H3O9 from the Materials Project database. Energies are from PBE+U.

Cell lengths 8.160, 8.160, 7.489 Å; angles 90.00, 90.00, 120.00 degrees
Positions (direct):
Fe (0.333, 0.667, 0.049)
Fe (0.333, 0.667, 0.451)
Fe (0.667, 0.333, 0.549)
Fe (0.667, 0.333, 0.951)
P (0.047, 0.690, 0.750)
P (0.310, 0.357, 0.750)
P (0.357, 0.047, 0.250)
P (0.643, 0.953, 0.750)
P (0.690, 0.643, 0.250)
P (0.953, 0.310, 0.250)
H (0.020, 0.182, 0.250)
H (0.162, 0.980, 0.250)
H (0.182, 0.162, 0.750)
H (0.818, 0.838, 0.250)
H (0.838, 0.020, 0.750)
H (0.980, 0.818, 0.750)
O (0.130, 0.513, 0.250)
O (0.162, 0.727, 0.578)
O (0.162, 0.727, 0.922)
O (0.273, 0.435, 0.578)
O (0.273, 0.435, 0.922)
O (0.383, 0.870, 0.250)
O (0.435, 0.162, 0.078)
O (0.435, 0.162, 0.422)
O (0.487, 0.617, 0.250)
O (0.513, 0.383, 0.750)
O (0.565, 0.838, 0.578)
O (0.565, 0.838, 0.922)
O (0.617, 0.130, 0.750)
O (0.727, 0.565, 0.078)
O (0.727, 0.565, 0.422)
O (0.838, 0.273, 0.078)
O (0.838, 0.273, 0.422)
O (0.870, 0.487, 0.750)

Results
ρ ... 2.70 g/cm³
SG ... P6_3/m, No. 176

6.
Here is an optimized crystal structure of Sr8Fe4Co4O23 from the Materials Project database. Energies are from PBE+U.

Cell lengths 8.732, 8.732, 8.732 Å; angles 101.39, 101.39, 127.24 degrees
Positions (direct):
Sr (0.000, 0.254, 0.254)
Sr (0.000, 0.746, 0.746)
Sr (0.242, 0.500, 0.742)
Sr (0.254, 0.000, 0.254)
Sr (0.500, 0.242, 0.742)
Sr (0.500, 0.758, 0.258)
Sr (0.746, 0.000, 0.746)
Sr (0.758, 0.500, 0.258)
Fe (0.000, 0.000, 0.500)
Fe (0.000, 0.500, 0.000)
Fe (0.500, 0.000, 0.000)
Fe (0.500, 0.500, 0.500)
Co (0.241, 0.241, 0.000)
Co (0.250, 0.750, 0.500)
Co (0.750, 0.250, 0.500)
Co (0.759, 0.759, 0.000)
O (0.000, 0.000, 0.000)
O (0.000, 0.500, 0.500)
O (0.126, 0.626, 0.253)
O (0.126, 0.874, 0.500)
O (0.160, 0.160, 0.765)
O (0.160, 0.395, 0.000)
O (0.238, 0.238, 0.476)
O (0.238, 0.762, 0.000)
O (0.374, 0.626, 0.500)
O (0.374, 0.874, 0.747)
O (0.395, 0.160, 0.000)
O (0.395, 0.395, 0.235)
O (0.500, 0.000, 0.500)
O (0.605, 0.605, 0.765)
O (0.605, 0.840, 0.000)
O (0.626, 0.126, 0.253)
O (0.626, 0.374, 0.500)
O (0.762, 0.238, 0.000)
O (0.762, 0.762, 0.524)
O (0.840, 0.605, 0.000)
O (0.840, 0.840, 0.235)
O (0.874, 0.126, 0.500)
O (0.874, 0.374, 0.747)

Results
ρ ... 5.34 g/cm³
SG ... I4/mmm, No. 139

7.
Here is an optimized crystal structure of Li9Mn2Co5O16 from the Materials Project database. Energies are from PBE+U.

Cell lengths 10.230, 2.906, 10.329 Å; angles 90.00, 109.94, 90.00 degrees
Positions (direct):
Li (0.000, 0.000, 0.000)
Li (0.000, 0.000, 0.480)
Li (0.250, 0.500, 0.995)
Li (0.255, 0.500, 0.486)
Li (0.507, 0.000, 0.487)
Li (0.517, 0.000, 0.002)
Li (0.753, 0.500, 0.004)
Li (0.754, 0.000, 0.238)
Li (0.760, 0.500, 0.482)
Mn (0.256, 0.000, 0.742)
Mn (0.511, 0.500, 0.237)
Co (0.250, 0.000, 0.243)
Co (0.512, 0.500, 0.742)
Co (0.750, 0.000, 0.741)
Co (0.990, 0.500, 0.250)
Co (0.999, 0.500, 0.742)
O (0.126, 0.000, 0.355)
O (0.130, 0.000, 0.851)
O (0.138, 0.500, 0.128)
O (0.144, 0.500, 0.631)
O (0.363, 0.500, 0.854)
O (0.378, 0.000, 0.631)
O (0.380, 0.500, 0.352)
O (0.389, 0.000, 0.130)
O (0.616, 0.000, 0.350)
O (0.617, 0.500, 0.125)
O (0.626, 0.000, 0.861)
O (0.637, 0.500, 0.620)
O (0.876, 0.500, 0.856)
O (0.890, 0.000, 0.627)
O (0.890, 0.500, 0.364)
O (0.891, 0.000, 0.128)

Results
ρ ... 4.16 g/cm³
Energy relative to the lowest polymorph listed for this composition ... 174 meV/atom
SG ... Pm, No. 6

8.
Here is an optimized crystal structure of TiMnO3 from the Materials Project database. Energies are from PBE+U.

Cell lengths 5.398, 7.561, 5.206 Å; angles 90.00, 90.00, 90.00 degrees
Positions (direct):
Ti (0.000, 0.000, 0.000)
Ti (0.000, 0.500, 0.000)
Ti (0.500, 0.000, 0.500)
Ti (0.500, 0.500, 0.500)
Mn (0.052, 0.250, 0.488)
Mn (0.448, 0.750, 0.988)
Mn (0.552, 0.250, 0.012)
Mn (0.948, 0.750, 0.512)
O (0.044, 0.750, 0.112)
O (0.195, 0.559, 0.690)
O (0.195, 0.941, 0.690)
O (0.305, 0.059, 0.190)
O (0.305, 0.441, 0.190)
O (0.456, 0.250, 0.612)
O (0.544, 0.750, 0.388)
O (0.695, 0.559, 0.810)
O (0.695, 0.941, 0.810)
O (0.805, 0.059, 0.310)
O (0.805, 0.441, 0.310)
O (0.956, 0.250, 0.888)

Results
ρ ... 4.71 g/cm³
SG ... Pnma, No. 62

Number 1: uncorrected energy -6.380 eV per atom, calculated volume 638.78 Å³/cell, formation energy -2.4295 eV per atom. Number 2: uncorrected energy -6.747 eV per atom, calculated volume 456.63 Å³/cell, formation energy -2.4910 eV per atom. Number 3: uncorrected energy -6.688 eV per atom, calculated volume 712.93 Å³/cell, formation energy -1.1058 eV per atom. Number 4: uncorrected energy -7.211 eV per atom, calculated volume 310.21 Å³/cell, formation energy -2.4570 eV per atom. Number 5: uncorrected energy -6.436 eV per atom, calculated volume 431.84 Å³/cell, formation energy -1.8953 eV per atom. Number 6: uncorrected energy -6.195 eV per atom, calculated volume 474.93 Å³/cell, formation energy -2.1372 eV per atom. Number 7: uncorrected energy -5.680 eV per atom, calculated volume 288.60 Å³/cell, formation energy -1.6899 eV per atom. Number 8: uncorrected energy -8.529 eV per atom, calculated volume 212.50 Å³/cell, formation energy -2.8946 eV per atom.